No. 1
# LiNiPO4

A relaxed structure of LiNiPO4 (GGA+U, the Materials Project).

Cell lengths 5.017, 6.292, 10.992 Å; angles 90.00, 90.00, 90.00 degrees
Fractional coordinates of all 28 atoms:
1 O 0.056 0.512 0.818
2 O 0.688 0.214 0.406
3 O 0.138 0.950 0.805
4 O 0.624 0.812 0.381
5 O 0.056 0.988 0.318
6 O 0.188 0.786 0.594
7 O 0.556 0.012 0.682
8 O 0.688 0.286 0.906
9 O 0.556 0.488 0.182
10 O 0.124 0.188 0.619
11 O 0.638 0.050 0.195
12 O 0.188 0.714 0.094
13 O 0.124 0.312 0.119
14 O 0.638 0.450 0.695
15 O 0.138 0.550 0.305
16 O 0.624 0.688 0.881
17 Ni 0.741 0.220 0.581
18 Ni 0.741 0.280 0.081
19 Ni 0.241 0.720 0.919
20 Ni 0.241 0.780 0.419
21 P 0.751 0.484 0.825
22 P 0.251 0.516 0.175
23 P 0.251 0.984 0.675
24 P 0.751 0.016 0.325
25 Li 0.748 0.986 0.833
26 Li 0.248 0.486 0.667
27 Li 0.248 0.014 0.167
28 Li 0.748 0.514 0.333

The total energy is -0.2292 Ha/atom. The calculation puts the volume at 347 Å³/cell. For the energy above the most stable polymorph in this dataset, the calculation gives 71 meV per atom. For the formation energy from the elements, the calculation gives -221.4 kJ per mole of atoms.

No. 2
# LiNi4P3O12

A relaxed structure of LiNi4P3O12 (GGA+U, the Materials Project).

Cell lengths 8.049, 8.049, 9.925 Å; angles 90.00, 90.00, 133.29 degrees
Fractional coordinates of all 40 atoms:
1 O 0.512 0.488 0.549
2 O 0.227 0.362 0.253
3 O 0.422 0.578 0.752
4 O 0.676 0.940 0.923
5 O 0.280 0.720 0.112
6 O 0.324 0.061 0.074
7 O 0.578 0.422 0.252
8 O 0.720 0.280 0.612
9 O 0.939 0.676 0.074
10 O 0.785 0.215 0.381
11 O 0.061 0.324 0.574
12 O 0.281 0.719 0.387
13 O 0.940 0.676 0.423
14 O 0.773 0.638 0.753
15 O 0.488 0.512 0.049
16 O 0.676 0.939 0.574
17 O 0.060 0.324 0.923
18 O 0.362 0.227 0.753
19 O 0.216 0.784 0.617
20 O 0.215 0.785 0.881
21 O 0.784 0.216 0.117
22 O 0.324 0.060 0.423
23 O 0.638 0.773 0.253
24 O 0.719 0.281 0.887
25 P 0.521 0.479 0.705
26 P 0.185 0.815 0.463
27 P 0.815 0.185 0.963
28 P 0.815 0.185 0.535
29 P 0.185 0.815 0.035
30 P 0.479 0.521 0.205
31 Ni 0.054 0.453 0.250
32 Ni 0.453 0.054 0.750
33 Ni 0.626 0.374 0.440
34 Ni 0.632 0.368 0.062
35 Ni 0.547 0.946 0.250
36 Ni 0.368 0.632 0.562
37 Ni 0.946 0.547 0.750
38 Ni 0.374 0.626 0.940
39 Li 0.978 0.022 0.754
40 Li 0.022 0.978 0.254

The total energy is -0.2302 Ha/atom. The calculation puts the volume at 468 Å³/cell. For the energy above the most stable polymorph in this dataset, the calculation gives 21 meV per atom. For the formation energy from the elements, the calculation gives -207.7 kJ per mole of atoms.

No. 3
# Li3Ni3P4O16

A relaxed structure of Li3Ni3P4O16 (GGA+U, the Materials Project).

Cell lengths 13.031, 8.028, 8.913 Å; angles 90.08, 86.24, 90.22 degrees
Fractional coordinates of all 78 atoms:
1 Li 0.500 0.137 0.102
2 Li 0.168 0.637 0.735
3 Li 0.163 0.864 0.229
4 Li 0.833 0.133 0.762
5 Li 0.833 0.639 0.066
6 Li 0.835 0.864 0.570
7 Li 0.172 0.368 0.931
8 Li 0.495 0.634 0.403
9 Li 0.499 0.364 0.595
10 O 0.563 0.920 0.083
11 O 0.928 0.636 0.527
12 O 0.068 0.803 0.830
13 O 0.603 0.299 0.013
14 O 0.586 0.656 0.859
15 O 0.590 0.860 0.356
16 O 0.430 0.124 0.318
17 O 0.395 0.804 0.486
18 O 0.770 0.371 0.484
19 O 0.926 0.855 0.029
20 O 0.228 0.635 0.509
21 O 0.439 0.365 0.823
22 O 0.563 0.871 0.681
23 O 0.905 0.925 0.752
24 O 0.076 0.146 0.977
25 O 0.747 0.156 0.305
26 O 0.902 0.628 0.848
27 O 0.741 0.360 0.810
28 O 0.271 0.197 0.847
29 O 0.435 0.065 0.914
30 O 0.079 0.343 0.475
31 O 0.238 0.580 0.916
32 O 0.261 0.650 0.192
33 O 0.896 0.865 0.347
34 O 0.730 0.799 0.157
35 O 0.402 0.703 0.992
36 O 0.599 0.201 0.502
37 O 0.101 0.082 0.250
38 O 0.104 0.128 0.652
39 O 0.405 0.352 0.140
40 O 0.763 0.070 0.582
41 O 0.230 0.934 0.416
42 O 0.568 0.572 0.581
43 O 0.257 0.860 0.691
44 O 0.427 0.423 0.416
45 O 0.772 0.421 0.082
46 O 0.101 0.428 0.750
47 O 0.899 0.567 0.252
48 O 0.063 0.699 0.320
49 O 0.734 0.701 0.661
50 O 0.565 0.623 0.181
51 O 0.408 0.141 0.639
52 O 0.101 0.381 0.154
53 O 0.767 0.124 0.984
54 O 0.935 0.298 0.678
55 O 0.264 0.298 0.341
56 O 0.934 0.204 0.177
57 O 0.236 0.878 0.014
58 P 0.053 0.205 0.141
59 P 0.946 0.692 0.362
60 P 0.617 0.692 0.685
61 P 0.388 0.192 0.806
62 P 0.051 0.307 0.649
63 P 0.278 0.809 0.525
64 P 0.949 0.804 0.862
65 P 0.721 0.300 0.974
66 P 0.612 0.800 0.193
67 P 0.716 0.191 0.478
68 P 0.383 0.300 0.306
69 P 0.283 0.702 0.027
70 Ni 0.500 0.493 0.004
71 Ni 0.170 0.001 0.840
72 Ni 0.159 0.140 0.440
73 Ni 0.507 0.860 0.891
74 Ni 0.828 0.360 0.273
75 Ni 0.496 0.003 0.492
76 Ni 0.836 0.502 0.674
77 Ni 0.833 0.995 0.164
78 Ni 0.166 0.508 0.329

The total energy is -0.2288 Ha/atom. The calculation puts the volume at 930 Å³/cell. For the energy above the most stable polymorph in this dataset, the calculation gives 13 meV per atom. For the formation energy from the elements, the calculation gives -210.1 kJ per mole of atoms.

No. 4
# Li4Ni2P3O12

A relaxed structure of Li4Ni2P3O12 (GGA+U, the Materials Project).

Cell lengths 8.311, 8.408, 9.132 Å; angles 91.30, 116.65, 119.12 degrees
Fractional coordinates of all 42 atoms:
1 Ni 0.309 0.649 0.962
2 Ni 0.286 0.144 0.433
3 Ni 0.714 0.856 0.567
4 Ni 0.691 0.351 0.038
5 P 0.498 0.547 0.752
6 P 0.800 0.253 0.760
7 P 0.787 0.044 0.253
8 P 0.200 0.747 0.240
9 P 0.213 0.956 0.747
10 P 0.502 0.453 0.248
11 O 0.992 0.857 0.735
12 O 0.801 0.022 0.422
13 O 0.881 0.125 0.746
14 O 0.386 0.395 0.584
15 O 0.614 0.605 0.416
16 O 0.302 0.443 0.098
17 O 0.418 0.250 0.273
18 O 0.326 0.499 0.801
19 O 0.976 0.467 0.808
20 O 0.199 0.978 0.578
21 O 0.119 0.875 0.254
22 O 0.674 0.501 0.199
23 O 0.358 0.153 0.895
24 O 0.249 0.788 0.092
25 O 0.686 0.164 0.197
26 O 0.599 0.198 0.587
27 O 0.008 0.143 0.265
28 O 0.401 0.802 0.413
29 O 0.024 0.533 0.192
30 O 0.314 0.836 0.803
31 O 0.751 0.212 0.908
32 O 0.698 0.557 0.902
33 O 0.582 0.750 0.727
34 O 0.642 0.847 0.105
35 Li 0.806 0.729 0.137
36 Li 0.194 0.271 0.863
37 Li 0.327 0.793 0.589
38 Li 0.630 0.940 0.903
39 Li 0.370 0.060 0.097
40 Li 0.938 0.669 0.857
41 Li 0.673 0.207 0.411
42 Li 0.062 0.331 0.143

The total energy is -0.2298 Ha/atom. The calculation puts the volume at 474 Å³/cell. For the energy above the most stable polymorph in this dataset, the calculation gives 0 meV per atom. For the formation energy from the elements, the calculation gives -229.0 kJ per mole of atoms.

No. 5
# Li2NiP2O7

A relaxed structure of Li2NiP2O7 (GGA+U, the Materials Project).

Cell lengths 5.038, 8.127, 13.777 Å; angles 68.89, 90.00, 90.00 degrees
Fractional coordinates of all 48 atoms:
1 O 0.065 0.749 0.218
2 O 0.638 0.534 0.097
3 O 0.631 0.779 0.917
4 O 0.565 0.251 0.282
5 O 0.435 0.749 0.718
6 O 0.271 0.153 0.927
7 O 0.869 0.779 0.417
8 O 0.427 0.678 0.509
9 O 0.248 0.997 0.305
10 O 0.729 0.847 0.073
11 O 0.073 0.678 0.009
12 O 0.748 0.003 0.195
13 O 0.362 0.466 0.903
14 O 0.862 0.534 0.597
15 O 0.369 0.221 0.083
16 O 0.931 0.689 0.761
17 O 0.069 0.311 0.239
18 O 0.569 0.689 0.261
19 O 0.935 0.251 0.782
20 O 0.131 0.221 0.583
21 O 0.229 0.153 0.427
22 O 0.927 0.322 0.991
23 O 0.752 0.003 0.695
24 O 0.252 0.997 0.805
25 O 0.138 0.466 0.403
26 O 0.573 0.322 0.491
27 O 0.771 0.847 0.573
28 O 0.431 0.311 0.739
29 Ni 0.231 0.720 0.367
30 Ni 0.731 0.280 0.133
31 Ni 0.269 0.720 0.867
32 Ni 0.769 0.280 0.633
33 P 0.278 0.183 0.305
34 P 0.274 0.303 0.479
35 P 0.222 0.183 0.805
36 P 0.226 0.303 0.979
37 P 0.774 0.697 0.021
38 P 0.726 0.697 0.521
39 P 0.722 0.817 0.695
40 P 0.778 0.817 0.195
41 Li 0.206 0.983 0.671
42 Li 0.766 0.426 0.340
43 Li 0.266 0.574 0.160
44 Li 0.734 0.426 0.840
45 Li 0.234 0.574 0.660
46 Li 0.794 0.017 0.329
47 Li 0.706 0.017 0.829
48 Li 0.294 0.983 0.171

The total energy is -0.2369 Ha/atom. The calculation puts the volume at 526 Å³/cell. For the energy above the most stable polymorph in this dataset, the calculation gives 39 meV per atom. For the formation energy from the elements, the calculation gives -238.2 kJ per mole of atoms.

No. 6
# Li2NiP2O7

A relaxed structure of Li2NiP2O7 (GGA+U, the Materials Project).

Cell lengths 4.998, 8.815, 13.163 Å; angles 81.89, 79.05, 90.01 degrees
Fractional coordinates of all 48 atoms:
1 Li 0.401 0.812 0.092
2 Li 0.761 0.564 0.591
3 Li 0.238 0.436 0.409
4 Li 0.261 0.064 0.592
5 Li 0.103 0.685 0.908
6 Li 0.901 0.312 0.092
7 Li 0.603 0.185 0.908
8 Li 0.738 0.937 0.409
9 P 0.103 0.359 0.870
10 P 0.400 0.138 0.130
11 P 0.724 0.890 0.630
12 P 0.900 0.638 0.130
13 P 0.777 0.610 0.370
14 P 0.224 0.390 0.630
15 P 0.277 0.110 0.370
16 P 0.603 0.859 0.870
17 O 0.917 0.756 0.618
18 O 0.513 0.120 0.429
19 O 0.285 0.493 0.882
20 O 0.284 0.295 0.099
21 O 0.195 0.628 0.072
22 O 0.720 0.701 0.901
23 O 0.695 0.128 0.073
24 O 0.870 0.048 0.600
25 O 0.129 0.953 0.401
26 O 0.013 0.620 0.428
27 O 0.370 0.548 0.600
28 O 0.084 0.245 0.381
29 O 0.219 0.201 0.901
30 O 0.934 0.623 0.250
31 O 0.417 0.256 0.619
32 O 0.785 0.993 0.882
33 O 0.720 0.503 0.119
34 O 0.487 0.880 0.572
35 O 0.308 0.868 0.928
36 O 0.629 0.453 0.401
37 O 0.808 0.368 0.928
38 O 0.784 0.795 0.099
39 O 0.220 0.003 0.119
40 O 0.068 0.375 0.750
41 O 0.568 0.874 0.750
42 O 0.584 0.745 0.381
43 O 0.988 0.380 0.572
44 O 0.434 0.123 0.251
45 Ni 0.502 0.498 0.000
46 Ni 0.002 0.998 0.000
47 Ni 0.750 0.250 0.500
48 Ni 0.250 0.751 0.500

The total energy is -0.2370 Ha/atom. The calculation puts the volume at 564 Å³/cell. For the energy above the most stable polymorph in this dataset, the calculation gives 35 meV per atom. For the formation energy from the elements, the calculation gives -238.7 kJ per mole of atoms.

No. 7
# LiNiP2O7

A relaxed structure of LiNiP2O7 (GGA+U, the Materials Project).

Cell lengths 8.306, 7.062, 9.162 Å; angles 66.26, 90.00, 90.00 degrees
Fractional coordinates of all 44 atoms:
1 Ni 0.076 0.238 0.385
2 Ni 0.424 0.238 0.885
3 Ni 0.576 0.762 0.115
4 Ni 0.924 0.762 0.615
5 O 0.596 0.520 0.343
6 O 0.406 0.976 0.121
7 O 0.096 0.480 0.157
8 O 0.831 0.253 0.101
9 O 0.904 0.520 0.843
10 O 0.259 0.377 0.454
11 O 0.759 0.623 0.046
12 O 0.094 0.976 0.621
13 O 0.594 0.024 0.879
14 O 0.611 0.110 0.315
15 O 0.757 0.882 0.201
16 O 0.894 0.438 0.401
17 O 0.889 0.110 0.815
18 O 0.106 0.562 0.599
19 O 0.741 0.623 0.546
20 O 0.394 0.562 0.099
21 O 0.906 0.024 0.379
22 O 0.241 0.377 0.954
23 O 0.606 0.438 0.901
24 O 0.389 0.890 0.685
25 O 0.243 0.118 0.799
26 O 0.257 0.118 0.299
27 O 0.743 0.882 0.701
28 O 0.404 0.480 0.657
29 O 0.669 0.253 0.601
30 O 0.111 0.890 0.185
31 O 0.331 0.747 0.399
32 O 0.169 0.747 0.899
33 Li 0.559 0.697 0.675
34 Li 0.059 0.303 0.825
35 Li 0.441 0.303 0.325
36 Li 0.941 0.697 0.175
37 P 0.768 0.059 0.254
38 P 0.768 0.469 0.968
39 P 0.232 0.941 0.746
40 P 0.732 0.059 0.754
41 P 0.268 0.941 0.246
42 P 0.268 0.531 0.532
43 P 0.232 0.531 0.032
44 P 0.732 0.469 0.468

The total energy is -0.2369 Ha/atom. The calculation puts the volume at 492 Å³/cell. For the energy above the most stable polymorph in this dataset, the calculation gives 15 meV per atom. For the formation energy from the elements, the calculation gives -220.3 kJ per mole of atoms.

No. 8
# LiNi3P3O11

A relaxed structure of LiNi3P3O11 (GGA+U, the Materials Project).

Cell lengths 8.945, 7.729, 11.196 Å; angles 81.66, 90.00, 90.00 degrees
Fractional coordinates of all 72 atoms:
1 Li 0.739 0.887 0.504
2 Li 0.761 0.887 0.004
3 Li 0.261 0.113 0.496
4 Li 0.239 0.113 0.996
5 O 0.225 0.126 0.731
6 O 0.498 0.681 0.784
7 O 0.737 0.208 0.854
8 O 0.743 0.215 0.602
9 O 0.519 0.316 0.714
10 O 0.243 0.785 0.898
11 O 0.754 0.571 0.201
12 O 0.481 0.684 0.286
13 O 0.010 0.675 0.016
14 O 0.487 0.651 0.061
15 O 0.510 0.325 0.484
16 O 0.013 0.651 0.561
17 O 0.513 0.349 0.939
18 O 0.998 0.319 0.716
19 O 0.746 0.571 0.701
20 O 0.990 0.325 0.984
21 O 0.257 0.785 0.398
22 O 0.981 0.316 0.214
23 O 0.725 0.874 0.769
24 O 0.480 0.051 0.879
25 O 0.275 0.126 0.231
26 O 0.497 0.036 0.618
27 O 0.020 0.051 0.379
28 O 0.263 0.792 0.146
29 O 0.767 0.595 0.417
30 O 0.246 0.429 0.799
31 O 0.237 0.792 0.646
32 O 0.987 0.349 0.439
33 O 0.267 0.405 0.083
34 O 0.997 0.964 0.882
35 O 0.233 0.405 0.583
36 O 0.254 0.429 0.299
37 O 0.490 0.675 0.516
38 O 0.002 0.681 0.284
39 O 0.733 0.595 0.917
40 O 0.775 0.874 0.269
41 O 0.003 0.036 0.118
42 O 0.503 0.964 0.382
43 O 0.980 0.949 0.621
44 O 0.757 0.215 0.102
45 O 0.520 0.949 0.121
46 O 0.763 0.208 0.354
47 O 0.019 0.684 0.786
48 O 0.502 0.319 0.216
49 Ni 0.871 0.075 0.741
50 Ni 0.629 0.075 0.241
51 Ni 0.377 0.568 0.659
52 Ni 0.123 0.568 0.159
53 Ni 0.129 0.925 0.259
54 Ni 0.861 0.451 0.569
55 Ni 0.623 0.432 0.341
56 Ni 0.877 0.432 0.841
57 Ni 0.139 0.549 0.431
58 Ni 0.371 0.925 0.759
59 Ni 0.361 0.549 0.931
60 Ni 0.639 0.451 0.069
61 P 0.436 0.777 0.147
62 P 0.431 0.784 0.403
63 P 0.176 0.315 0.710
64 P 0.569 0.216 0.597
65 P 0.324 0.315 0.210
66 P 0.931 0.216 0.097
67 P 0.564 0.223 0.853
68 P 0.069 0.784 0.903
69 P 0.676 0.685 0.790
70 P 0.936 0.223 0.353
71 P 0.064 0.777 0.647
72 P 0.824 0.685 0.290

The total energy is -0.2336 Ha/atom. The calculation puts the volume at 766 Å³/cell. For the energy above the most stable polymorph in this dataset, the calculation gives 52 meV per atom. For the formation energy from the elements, the calculation gives -212.8 kJ per mole of atoms.

Q: Look up the volume of the second one.
A: 468 Å³/cell